# Nd4Re2O11

Nd4Re2O11 after structural relaxation (PBE, the Materials Project).

The structure in CIF format:
```
data_Nd4Re2O11
_chemical_formula_sum 'Nd16 Re8 O44'
_cell_length_a 12.8231
_cell_length_b 12.8231
_cell_length_c 5.6597
_cell_angle_alpha 90.00
_cell_angle_beta 90.00
_cell_angle_gamma 90.00
_space_group_name_H-M_alt 'P 42/n'
_space_group_IT_number 86
loop_
_space_group_symop_operation_xyz
'x,y,z'
'-x,-y,-z'
'-y,x+1/2,z+1/2'
'y,-x+1/2,-z+1/2'
'-x+1/2,-y+1/2,z'
'x+1/2,y+1/2,-z'
'y+1/2,-x,z+1/2'
'-y+1/2,x,-z+1/2'
loop_
_atom_site_label
_atom_site_fract_x
_atom_site_fract_y
_atom_site_fract_z
_atom_site_occupancy
Nd1 0.1113 0.6935 0.0700 1
Nd2 0.1182 0.1848 0.4981 1
Re1 0.0239 0.5863 0.5693 1
O1 0.0024 0.0912 0.1950 1
O2 0.0301 0.3084 0.2069 1
O3 0.0439 0.8716 0.2889 1
O4 0.0448 0.3418 0.6923 1
O5 0.1490 0.6956 0.4860 1
O6 0.2500 0.2500 0.2500 1
O7 0.2500 0.2500 0.7500 1
```

Values from the calculation:
Its MP2020-corrected energy is -8.93 eV per atom. The value obtained for the energy of formation from the pure elements is -3.15 eV per atom.